1.
# Cd8Ag5

A relaxed Cd8Ag5 crystal (r²SCAN, the Materials Project database).

## Properties
**Electronic total energy**: -1.51700 Ry per atom
**Space group**: No. 217
**ΔE_f**: -5 kJ per mole of atoms
**Magnetization**: 0.00 μB/f.u.

Cell: 8.688 8.688 8.688 Å, 109.47 109.47 109.47°
Positions (direct):
Cd 0.279 0.652 0.000
Cd 0.721 0.373 0.721
Cd 0.279 0.000 0.652
Cd 0.627 0.348 0.348
Cd 0.000 0.781 0.000
Cd 0.219 0.219 0.219
Cd 0.721 0.721 0.373
Cd 0.000 0.652 0.279
Cd 0.652 0.279 0.000
Cd 0.373 0.721 0.721
Cd 0.348 0.627 0.348
Cd 0.000 0.279 0.652
Cd 0.652 0.000 0.279
Cd 0.781 0.000 0.000
Cd 0.000 0.000 0.781
Cd 0.348 0.348 0.627
Ag 0.345 0.000 0.000
Ag 0.357 0.000 0.357
Ag 0.000 0.643 0.643
Ag 0.655 0.655 0.655
Ag 0.000 0.345 0.000
Ag 0.357 0.357 0.000
Ag 0.000 0.357 0.357
Ag 0.643 0.000 0.643
Ag 0.000 0.000 0.345
Ag 0.643 0.643 0.000

2.
# Hg

A relaxed Hg crystal (r²SCAN, the Materials Project database).

## Properties
**Electronic total energy**: -3.62847 Ry per atom
**ΔE to the lowest computed polymorph**: 0.000 eV per atom
**ΔE_f**: 0 kJ per mole of atoms
**Magnetization**: 0.00 μB/f.u.

Cell: 5.365 5.365 5.365 Å, 120.70 120.70 88.79°
Positions (direct):
Hg 0.875 0.376 0.001
Hg 0.375 0.874 0.999
Hg 0.624 0.625 0.499
Hg 0.126 0.125 0.501

3.
# TmMg2

A relaxed TmMg2 crystal (r²SCAN, the Materials Project database).

## Properties
**Electronic total energy**: -1.06780 Ry per atom
**Space group**: No. 164
**ΔE_f**: -4 kJ per mole of atoms
**Magnetization**: 0.00 μB/f.u.

Cell: 3.276 5.166 5.166 Å, 120.00 90.03 90.00°
Positions (direct):
Tm 0.667 0.417 0.667
Mg 0.162 0.084 0.000
Mg 0.172 0.750 0.333

4.
# Ti2NbAl

A relaxed Ti2NbAl crystal (r²SCAN, the Materials Project database).

## Properties
**Electronic total energy**: -1.07602 Ry per atom
**Space group**: No. 63
**ΔE_f**: -29 kJ per mole of atoms
**Magnetization**: 0.00 μB/f.u.

Cell: 5.635 5.635 4.671 Å, 90.00 90.00 114.93°
Positions (direct):
Ti 0.862 0.667 0.750
Ti 0.667 0.862 0.250
Ti 0.138 0.333 0.250
Ti 0.333 0.138 0.750
Nb 0.361 0.639 0.750
Nb 0.639 0.361 0.250
Al 0.837 0.163 0.750
Al 0.163 0.837 0.250

5.
# K6Pb2O5

A relaxed K6Pb2O5 crystal (r²SCAN, the Materials Project database).

## Properties
**Electronic total energy**: -1.11242 Ry per atom
**Space group**: No. 2
**ΔE_f**: -135 kJ per mole of atoms
**Magnetization**: 0.00 μB/f.u.

Cell: 6.406 7.607 12.454 Å, 78.85 84.13 87.78°
Positions (direct):
K 0.433 0.608 0.365
K 0.567 0.392 0.635
K 0.921 0.407 0.384
K 0.079 0.593 0.616
K 0.316 0.949 0.123
K 0.684 0.051 0.877
K 0.305 0.488 0.122
K 0.695 0.512 0.878
K 0.778 0.701 0.125
K 0.222 0.299 0.875
K 0.410 0.133 0.375
K 0.590 0.867 0.625
Pb 0.913 0.871 0.355
Pb 0.087 0.129 0.645
Pb 0.759 0.210 0.136
Pb 0.241 0.790 0.864
O 0.648 0.948 0.245
O 0.352 0.052 0.755
O 0.515 0.242 0.026
O 0.485 0.758 0.974
O 0.746 0.674 0.478
O 0.254 0.326 0.522
O 0.620 0.383 0.243
O 0.380 0.617 0.757
O 0.081 0.694 0.258
O 0.919 0.306 0.742

6.
# LiEr2Os

A relaxed LiEr2Os crystal (r²SCAN, the Materials Project database).

## Properties
**Electronic total energy**: -2.28722 Ry per atom
**Space group**: No. 225
**ΔE_f**: -30 kJ per mole of atoms
**Magnetization**: 0.00 μB/f.u.

Cell: 4.827 4.827 4.827 Å, 60.00 60.00 60.00°
Positions (direct):
Li 0.250 0.250 0.250
Er 0.500 0.500 0.500
Er 0.000 0.000 0.000
Os 0.750 0.750 0.750

7.
# Tm2Ti2O7

A relaxed Tm2Ti2O7 crystal (r²SCAN, the Materials Project database).

## Properties
**Electronic total energy**: -1.19326 Ry per atom
**Space group**: No. 4
**ΔE_f**: -357 kJ per mole of atoms
**Magnetization**: 0.00 μB/f.u.

Cell: 5.237 7.408 13.018 Å, 81.67 90.00 90.00°
Positions (direct):
Tm 0.775 0.764 0.927
Tm 0.356 0.860 0.561
Tm 0.246 0.714 0.135
Tm 0.778 0.644 0.388
Tm 0.278 0.356 0.612
Tm 0.746 0.286 0.865
Tm 0.856 0.140 0.439
Tm 0.275 0.236 0.073
Ti 0.281 0.929 0.321
Ti 0.768 0.971 0.122
Ti 0.792 0.590 0.672
Ti 0.268 0.531 0.873
Ti 0.768 0.469 0.127
Ti 0.292 0.410 0.328
Ti 0.268 0.029 0.878
Ti 0.781 0.071 0.679
O 0.430 0.996 0.178
O 0.564 0.927 0.409
O 0.664 0.829 0.682
O 0.361 0.779 0.882
O 0.064 0.856 0.432
O 0.046 0.936 0.025
O 0.954 0.869 0.233
O 0.102 0.636 0.618
O 0.928 0.581 0.823
O 0.387 0.674 0.304
O 0.646 0.728 0.090
O 0.589 0.585 0.551
O 0.543 0.450 0.973
O 0.457 0.483 0.763
O 0.957 0.517 0.237
O 0.043 0.550 0.027
O 0.089 0.415 0.449
O 0.146 0.272 0.910
O 0.887 0.326 0.696
O 0.428 0.419 0.177
O 0.602 0.364 0.382
O 0.454 0.131 0.767
O 0.546 0.064 0.975
O 0.564 0.144 0.568
O 0.861 0.221 0.118
O 0.164 0.171 0.318
O 0.064 0.073 0.591
O 0.930 0.004 0.822

8.
# Eu2InPt2

A relaxed Eu2InPt2 crystal (r²SCAN, the Materials Project database).

## Properties
**Electronic total energy**: -3.05225 Ry per atom
**Space group**: No. 15
**ΔE_f**: -97 kJ per mole of atoms
**Magnetization**: 14.04 μB/f.u.

Cell: 5.888 5.888 8.275 Å, 77.57 77.57 59.52°
Positions (direct):
Eu 0.795 0.501 0.352
Eu 0.499 0.205 0.148
Eu 0.205 0.499 0.648
Eu 0.501 0.795 0.852
In 0.150 0.850 0.250
In 0.850 0.150 0.750
Pt 0.000 0.726 0.002
Pt 0.274 0.000 0.498
Pt 0.000 0.274 0.998
Pt 0.726 0.000 0.502

Look up the electronic total energy of the seventh one. -1.19326 Ry per atom

The highest electronic total energy belongs to which entry? TmMg2

Which value of magnetization does entry 5 give? 0.00 μB/f.u.